First-principles (PBE) data for crystalline TeMoWSe2S at its relaxed geometry, as listed in the Materials Project.

Cell: 3.3407 3.3407 38.0775 Å, 90.00 90.00 120.00°
Space group P3m1 (No. 156)
Symmetry-distinct sites (fractional):
Te 0.0000 0.0000 0.0000 (multiplicity 1)
Te 0.0000 0.0000 0.0996 (multiplicity 1)
Mo 0.6667 0.3333 0.0498 (multiplicity 1)
Mo 0.6667 0.3333 0.6741 (multiplicity 1)
W 0.0000 0.0000 0.2377 (multiplicity 1)
W 0.0000 0.0000 0.8620 (multiplicity 1)
Se 0.0000 0.0000 0.6303 (multiplicity 1)
Se 0.0000 0.0000 0.7179 (multiplicity 1)
Se 0.6667 0.3333 0.1937 (multiplicity 1)
Se 0.6667 0.3333 0.2817 (multiplicity 1)
S 0.6667 0.3333 0.8219 (multiplicity 1)
S 0.6667 0.3333 0.9020 (multiplicity 1)

Summary:
E above lowest polymorph = 0.001 eV per atom
M_tot = 0.002 μB/f.u.
Formation enthalpy at 0 K = -623 meV per atom